Density functional theory data (PBE+U) for a relaxed NiTeP2O8 crystal.

## Properties
formation enthalpy at 0 K	-2.121	eV per atom
total energy	-0.470	Ry per atom
volume	615	Å³ per cell
MP2020-corrected energy	-7.07	eV/atom
total magnetization	0.00	μB per formula unit

```
NiTeP2O8
1.0
0.2386 3.7910 2.9293
-4.4652 4.7307 -7.4166
-11.6490 -3.1191 5.0494
Ni Te P O
4 4 8 32
Direct
0.9305 0.2662 0.6254
0.0698 0.7337 0.8736
0.9308 0.2661 0.1249
0.0695 0.7339 0.3743
0.4269 0.2015 0.3753
0.4272 0.2012 0.8753
0.5731 0.7985 0.1244
0.5727 0.7988 0.6244
0.3439 0.0904 0.1248
0.3434 0.0905 0.6248
0.6561 0.9096 0.3752
0.6565 0.9095 0.8752
0.8929 0.4024 0.3750
0.8935 0.4022 0.8749
0.1071 0.5976 0.1252
0.1064 0.5978 0.6253
0.7609 0.0642 0.3756
0.7613 0.0641 0.8758
0.2391 0.9358 0.1243
0.2386 0.9359 0.6241
0.6642 0.1011 0.1248
0.6636 0.1012 0.6249
0.3359 0.8989 0.3751
0.3363 0.8988 0.8750
0.2047 0.3753 0.3753
0.2053 0.3752 0.8752
0.7953 0.6247 0.1246
0.7946 0.6248 0.6245
0.1363 0.4479 0.1249
0.1360 0.4481 0.6250
0.8637 0.5522 0.3753
0.8641 0.5520 0.8751
0.2199 0.1663 0.0327
0.2192 0.1665 0.5328
0.2178 0.1663 0.2167
0.2173 0.1661 0.7168
0.7827 0.8337 0.2836
0.7830 0.8338 0.7834
0.7797 0.8338 0.4676
0.7803 0.8335 0.9675
0.7227 0.3230 0.4665
0.7233 0.3229 0.9664
0.7244 0.3230 0.2834
0.7251 0.3228 0.7834
0.2779 0.6770 0.0338
0.2772 0.6771 0.5338
0.2749 0.6770 0.2169
0.2742 0.6772 0.7169
```